Computed, not measured: crystalline Tb2SeO2 at its relaxed geometry at the PBE level of DFT.

extended XYZ file:
```
5
Lattice="-1.9268 1.9268 6.1077 1.9268 -1.9268 6.1077 1.9268 1.9268 -6.1077" Properties=species:S:1:pos:R:3 pbc="T T T"
Tb 0.0000 0.0000 4.1998
Tb 0.0000 0.0000 8.0156
Se 0.0000 0.0000 0.0000
O 0.0000 1.9268 3.0539
O 1.9268 0.0000 3.0539
```

Volume ... 18.14 A^3/atom
Total DFT energy (no corrections) ... -7.61 eV/atom
Formation enthalpy at 0 K ... -1616 kJ/mol of formula units
Space-group type ... I4/mmm, No. 139